First-principles (PBE-GGA) data for a relaxed RbFeSe2 crystal, as listed in the Materials Project.

- energy of formation from the pure elements (eV per atom) = -0.897
- SG = C2/c, No. 15

The structure in POSCAR format:
```
RbFeSe2
1.0
6.109 3.768 0.000
-6.109 3.768 0.000
0.000 2.097 5.232
Rb Fe Se
2 2 4
Direct
0.141 0.859 0.250
0.859 0.141 0.750
0.502 0.498 0.250
0.498 0.502 0.750
0.204 0.421 0.095
0.579 0.796 0.405
0.796 0.579 0.905
0.421 0.204 0.595
```